Below is an optimized crystal structure of Cr3C2, with properties calculated at the PBE level.

Results
calculated formation energy = -0.069 eV per atom
energy above the most stable polymorph in this dataset = 0.152 eV/f.u.
crystal system = orthorhombic
calculated total energy = -47.8 eV/f.u.

```
Cr3C2
1.0
1.4078 -4.6115 0.0000
1.4078 4.6115 0.0000
0.0000 0.0000 6.9167
Cr C
6 4
Direct
0.5989 0.4011 0.7500 Cr
0.8565 0.1435 0.9300 Cr
0.4011 0.5989 0.2500 Cr
0.1435 0.8565 0.0700 Cr
0.8565 0.1435 0.5700 Cr
0.1435 0.8565 0.4300 Cr
0.2460 0.7540 0.7500 C
0.7540 0.2460 0.2500 C
0.5000 0.5000 0.0000 C
0.5000 0.5000 0.5000 C
```